(1)
! PBE Be2NiIr, optimized geometry; values from VASP
! E_tot (eV per atom): -6.11
&SYSTEM
  ibrav = 0, nat = 4, ntyp = 3
/
ATOMIC_SPECIES
Be 9.01 Be.upf
Ni 58.69 Ni.upf
Ir 192.22 Ir.upf
ATOMIC_POSITIONS angstrom
Be 1.356 1.356 1.356
Be 4.069 4.069 4.069
Ni 0.000 0.000 0.000
Ir 2.712 2.712 2.712
CELL_PARAMETERS angstrom
0.000 2.712 2.712
2.712 0.000 2.712
2.712 2.712 0.000


(2)
! PBE Be2IrRu, optimized geometry; values from VASP
! E_tot (eV per atom): -6.79
&SYSTEM
  ibrav = 0, nat = 4, ntyp = 3
/
ATOMIC_SPECIES
Ir 192.22 Ir.upf
Be 9.01 Be.upf
Ru 101.07 Ru.upf
ATOMIC_POSITIONS angstrom
Ir 2.796 2.796 2.796
Be 4.193 4.193 4.193
Be 1.398 1.398 1.398
Ru 0.000 0.000 0.000
CELL_PARAMETERS angstrom
0.000 2.796 2.796
2.796 0.000 2.796
2.796 2.796 0.000


(3)
! PBE KBeO3, optimized geometry; values from VASP
! E_tot (eV per atom): -4.72
&SYSTEM
  ibrav = 0, nat = 5, ntyp = 3
/
ATOMIC_SPECIES
K 39.10 K.upf
Be 9.01 Be.upf
O 16.00 O.upf
ATOMIC_POSITIONS angstrom
K 0.000 0.000 0.000
Be 1.886 1.886 1.886
O 0.000 1.886 1.886
O 1.886 1.886 0.000
O 1.886 0.000 1.886
CELL_PARAMETERS angstrom
3.772 0.000 0.000
0.000 3.772 0.000
0.000 0.000 3.772


(4)
! PBE K2Be2O3, optimized geometry; values from VASP
! E_tot (eV per atom): -5.60
&SYSTEM
  ibrav = 0, nat = 14, ntyp = 3
/
ATOMIC_SPECIES
Be 9.01 Be.upf
O 16.00 O.upf
K 39.10 K.upf
ATOMIC_POSITIONS angstrom
Be -4.889 0.062 5.255
Be -2.937 -3.979 2.861
Be -0.695 -8.465 2.376
Be -2.648 -4.424 4.771
O -0.755 -0.547 2.609
O -3.887 -3.714 4.099
O -1.698 -4.689 3.533
O 0.000 0.000 0.000
O -4.830 -7.856 5.023
O -3.240 -3.826 1.408
K -1.065 -5.310 0.687
K -1.662 -1.604 5.244
K -3.923 -6.799 2.388
K -4.519 -3.093 6.945
CELL_PARAMETERS angstrom
-1.312 -8.019 -1.006
0.895 -0.751 4.817
-5.168 0.367 3.821